(1)
Here is a geometry-optimized Li6Ti2O7 structure from the Materials Project. Energies are from GGA-PBE.

Cell: 5.7687 5.7687 5.1315 Å, 107.84 107.84 60.94°
Element x y z (fractional)
Li: 0.1307 0.1307 0.1862
Li: 0.1433 0.5829 0.2247
Li: 0.4171 0.8567 0.7753
Li: 0.5916 0.1384 0.2300
Li: 0.8616 0.4084 0.7700
Li: 0.8693 0.8693 0.8138
Ti: 0.3658 0.3614 0.7385
Ti: 0.6386 0.6342 0.2615
O: 0.0077 0.4875 0.4982
O: 0.2524 0.2424 0.9491
O: 0.2750 0.7250 0.0000
O: 0.4991 0.5009 0.5000
O: 0.5125 0.9923 0.5018
O: 0.7302 0.2698 0.0000
O: 0.7576 0.7476 0.0509

## Properties
Density = 2.97 g/cm³
Formation energy from the elements = -41.972 eV/f.u.
Total DFT energy (no corrections) = -6.60 eV per atom
Energy above the lowest structure with this stoichiometry = 0.008 eV per atom

(2)
Here is a geometry-optimized Li2TiO3 structure from the Materials Project. Energies are from GGA-PBE.

Cell: 5.9162 5.9162 13.2288 Å, 102.96 102.96 89.28°
Element x y z (fractional)
Li: 0.0000 0.0000 0.0000
Li: 0.0000 0.0000 0.5000
Li: 0.0000 0.5000 0.0000
Li: 0.1635 0.1647 0.8327
Li: 0.1647 0.1635 0.3327
Li: 0.1646 0.6688 0.8313
Li: 0.3305 0.3347 0.1695
Li: 0.3312 0.8354 0.6687
Li: 0.3347 0.3305 0.6695
Li: 0.5000 0.0000 0.5000
Li: 0.6653 0.6695 0.3305
Li: 0.6688 0.1646 0.3313
Li: 0.6695 0.6653 0.8305
Li: 0.8354 0.3312 0.1687
Li: 0.8353 0.8365 0.6673
Li: 0.8365 0.8353 0.1673
Ti: 0.0000 0.5000 0.5000
Ti: 0.1435 0.6713 0.3253
Ti: 0.3287 0.8565 0.1747
Ti: 0.5000 0.0000 0.0000
Ti: 0.5000 0.5000 0.0000
Ti: 0.5000 0.5000 0.5000
Ti: 0.6713 0.1435 0.8253
Ti: 0.8565 0.3287 0.6747
O: 0.0641 0.0990 0.6642
O: 0.0655 0.5683 0.6585
O: 0.0990 0.0641 0.1642
O: 0.1002 0.5971 0.1751
O: 0.2456 0.7330 0.4974
O: 0.2480 0.2777 0.5006
O: 0.2670 0.7544 0.0026
O: 0.2777 0.2480 0.0006
O: 0.4029 0.8998 0.3249
O: 0.4149 0.4334 0.3465
O: 0.4317 0.9345 0.8415
O: 0.4334 0.4149 0.8465
O: 0.5666 0.5851 0.1535
O: 0.5683 0.0655 0.1585
O: 0.5851 0.5666 0.6535
O: 0.5971 0.1002 0.6751
O: 0.7223 0.7520 0.9994
O: 0.7330 0.2456 0.9974
O: 0.7520 0.7223 0.4994
O: 0.7544 0.2670 0.5026
O: 0.8998 0.4029 0.8249
O: 0.9010 0.9359 0.8358
O: 0.9345 0.4317 0.3415
O: 0.9359 0.9010 0.3358

## Properties
Density = 3.32 g/cm³
Formation energy from the elements = -17.686 eV/f.u.
Total DFT energy (no corrections) = -7.03 eV per atom

(3)
Here is a geometry-optimized LiTi3Zn2O8 structure from the Materials Project. Energies are from GGA-PBE.

Cell: 8.4873 8.4873 8.4873 Å, 90.00 90.00 90.00°
Element x y z (fractional)
Li: 0.1250 0.3750 0.6250
Li: 0.3750 0.6250 0.1250
Li: 0.6250 0.1250 0.3750
Li: 0.8750 0.8750 0.8750
Ti: 0.1197 0.1250 0.8697
Ti: 0.1250 0.8697 0.1197
Ti: 0.1303 0.6197 0.3750
Ti: 0.3697 0.3803 0.8750
Ti: 0.3750 0.1303 0.6197
Ti: 0.3803 0.8750 0.3697
Ti: 0.6197 0.3750 0.1303
Ti: 0.6250 0.6303 0.8803
Ti: 0.6303 0.8803 0.6250
Ti: 0.8697 0.1197 0.1250
Ti: 0.8750 0.3697 0.3803
Ti: 0.8803 0.6250 0.6303
Zn: 0.0008 0.9992 0.4992
Zn: 0.2492 0.2492 0.2492
Zn: 0.2508 0.7508 0.7492
Zn: 0.4992 0.0008 0.9992
Zn: 0.5008 0.5008 0.5008
Zn: 0.7492 0.2508 0.7508
Zn: 0.7508 0.7492 0.2508
Zn: 0.9992 0.4992 0.0008
O: 0.1087 0.6265 0.6109
O: 0.1109 0.3913 0.3735
O: 0.1134 0.1134 0.1134
O: 0.1235 0.6413 0.1391
O: 0.1265 0.8891 0.8913
O: 0.1366 0.8634 0.3634
O: 0.1391 0.1235 0.6413
O: 0.1413 0.3609 0.8765
O: 0.3587 0.6391 0.3765
O: 0.3609 0.8765 0.1413
O: 0.3634 0.1366 0.8634
O: 0.3735 0.1109 0.3913
O: 0.3765 0.3587 0.6391
O: 0.3866 0.8866 0.6134
O: 0.3891 0.6087 0.8735
O: 0.3913 0.3735 0.1109
O: 0.6087 0.8735 0.3891
O: 0.6109 0.1087 0.6265
O: 0.6134 0.3866 0.8866
O: 0.6235 0.8587 0.8609
O: 0.6265 0.6109 0.1087
O: 0.6366 0.6366 0.6366
O: 0.6391 0.3765 0.3587
O: 0.6413 0.1391 0.1235
O: 0.8587 0.8609 0.6235
O: 0.8609 0.6235 0.8587
O: 0.8634 0.3634 0.1366
O: 0.8735 0.3891 0.6087
O: 0.8765 0.1413 0.3609
O: 0.8866 0.6134 0.3866
O: 0.8891 0.8913 0.1265
O: 0.8913 0.1265 0.8891

## Properties
Density = 4.45 g/cm³
Formation energy from the elements = -40.388 eV/f.u.
Total DFT energy (no corrections) = -7.33 eV per atom

(4)
Here is a geometry-optimized Li2Ti6Zn3O16 structure from the Materials Project. Energies are from GGA-PBE.

Cell: 8.4561 8.4625 8.4621 Å, 90.00 90.44 90.00°
Element x y z (fractional)
Li: 0.1257 0.0000 0.1254
Li: 0.2470 0.1290 0.5020
Li: 0.7530 0.6290 0.4980
Li: 0.8743 0.5000 0.8746
Ti: 0.1191 0.2497 0.8764
Ti: 0.1249 0.5053 0.6290
Ti: 0.1349 0.7625 0.3818
Ti: 0.3689 0.9908 0.8656
Ti: 0.3770 0.2401 0.1410
Ti: 0.3887 0.4974 0.3876
Ti: 0.6113 0.9974 0.6124
Ti: 0.6230 0.7401 0.8590
Ti: 0.6311 0.4908 0.1344
Ti: 0.8651 0.2625 0.6182
Ti: 0.8751 0.0053 0.3710
Ti: 0.8809 0.7497 0.1236
Zn: 0.0055 0.3758 0.2520
Zn: 0.2522 0.6236 0.0038
Zn: 0.4986 0.3695 0.7538
Zn: 0.5014 0.8695 0.2462
Zn: 0.7478 0.1236 0.9962
Zn: 0.9945 0.8758 0.7480
O: 0.1058 0.7464 0.1383
O: 0.1093 0.2653 0.6432
O: 0.1092 0.9802 0.3770
O: 0.1117 0.7300 0.6092
O: 0.1285 0.4864 0.8578
O: 0.1372 0.5133 0.3908
O: 0.1402 0.2532 0.1051
O: 0.1418 0.0129 0.8730
O: 0.3537 0.7307 0.3599
O: 0.3579 0.4863 0.6074
O: 0.3593 0.2346 0.8876
O: 0.3627 0.2701 0.3541
O: 0.3782 0.0183 0.1110
O: 0.3895 0.4857 0.1363
O: 0.3916 0.7696 0.8873
O: 0.3945 0.0116 0.6432
O: 0.6055 0.5116 0.3568
O: 0.6084 0.2696 0.1127
O: 0.6105 0.9857 0.8637
O: 0.6218 0.5183 0.8890
O: 0.6373 0.7701 0.6459
O: 0.6407 0.7346 0.1124
O: 0.6421 0.9863 0.3926
O: 0.6463 0.2307 0.6401
O: 0.8582 0.5129 0.1270
O: 0.8598 0.7532 0.8949
O: 0.8628 0.0133 0.6092
O: 0.8715 0.9864 0.1422
O: 0.8883 0.2300 0.3908
O: 0.8908 0.4802 0.6230
O: 0.8907 0.7653 0.3568
O: 0.8942 0.2464 0.8617

## Properties
Density = 4.13 g/cm³
Formation energy from the elements = -81.484 eV/f.u.
Total DFT energy (no corrections) = -7.58 eV per atom

(5)
Here is a geometry-optimized Li2Ti6Zn3O16 structure from the Materials Project. Energies are from GGA-PBE.

Cell: 8.4624 8.4642 8.4728 Å, 90.00 90.32 90.00°
Element x y z (fractional)
Li: 0.0045 0.0000 0.2518
Li: 0.1252 0.6221 0.1260
Li: 0.8748 0.1221 0.8740
Li: 0.9955 0.5000 0.7482
Ti: 0.1170 0.8701 0.8850
Ti: 0.1272 0.1353 0.6308
Ti: 0.1329 0.3775 0.3843
Ti: 0.3629 0.6122 0.8681
Ti: 0.3747 0.8653 0.1349
Ti: 0.3817 0.1231 0.3855
Ti: 0.6183 0.6231 0.6145
Ti: 0.6253 0.3653 0.8651
Ti: 0.6371 0.1122 0.1319
Ti: 0.8671 0.8775 0.6157
Ti: 0.8728 0.6353 0.3692
Ti: 0.8830 0.3701 0.1150
Zn: 0.2436 0.7522 0.5022
Zn: 0.2511 0.2451 0.0046
Zn: 0.4989 0.9935 0.7556
Zn: 0.5011 0.4935 0.2444
Zn: 0.7489 0.7451 0.9954
Zn: 0.7564 0.2522 0.4978
O: 0.1058 0.3701 0.1393
O: 0.1102 0.6045 0.3776
O: 0.1096 0.8856 0.6398
O: 0.1114 0.3525 0.6084
O: 0.1292 0.1083 0.8570
O: 0.1409 0.1392 0.3924
O: 0.1431 0.8740 0.1038
O: 0.1444 0.6385 0.8732
O: 0.3539 0.3556 0.3600
O: 0.3596 0.1079 0.6065
O: 0.3612 0.8589 0.8878
O: 0.3609 0.8902 0.3548
O: 0.3785 0.6416 0.1099
O: 0.3887 0.1074 0.1386
O: 0.3918 0.3926 0.8897
O: 0.3945 0.6376 0.6409
O: 0.6055 0.1376 0.3591
O: 0.6082 0.8926 0.1103
O: 0.6113 0.6074 0.8614
O: 0.6215 0.1416 0.8901
O: 0.6388 0.3589 0.1122
O: 0.6391 0.3902 0.6452
O: 0.6404 0.6079 0.3935
O: 0.6461 0.8556 0.6400
O: 0.8556 0.1385 0.1268
O: 0.8569 0.3740 0.8962
O: 0.8591 0.6392 0.6076
O: 0.8708 0.6083 0.1430
O: 0.8886 0.8525 0.3916
O: 0.8898 0.1045 0.6224
O: 0.8904 0.3856 0.3602
O: 0.8942 0.8701 0.8607

## Properties
Density = 4.12 g/cm³
Formation energy from the elements = -81.523 eV/f.u.
Total DFT energy (no corrections) = -7.58 eV per atom

(6)
Here is a geometry-optimized Li2Ti3ZnO8 structure from the Materials Project. Energies are from GGA-PBE.

Cell: 8.4469 8.4469 8.4469 Å, 90.00 90.00 90.00°
Element x y z (fractional)
Li: 0.0021 0.4979 0.5021
Li: 0.1248 0.8752 0.3752
Li: 0.3752 0.1248 0.8752
Li: 0.4979 0.5021 0.0021
Li: 0.5021 0.0021 0.4979
Li: 0.6248 0.6248 0.6248
Li: 0.8752 0.3752 0.1248
Li: 0.9979 0.9979 0.9979
Ti: 0.1204 0.6273 0.1349
Ti: 0.1273 0.3651 0.8796
Ti: 0.1349 0.1204 0.6273
Ti: 0.3651 0.8796 0.1273
Ti: 0.3727 0.6349 0.3796
Ti: 0.3796 0.3727 0.6349
Ti: 0.6204 0.8727 0.8651
Ti: 0.6273 0.1349 0.1204
Ti: 0.6349 0.3796 0.3727
Ti: 0.8651 0.6204 0.8727
Ti: 0.8727 0.8651 0.6204
Ti: 0.8796 0.1273 0.3651
Zn: 0.2479 0.7479 0.7521
Zn: 0.2521 0.2521 0.2521
Zn: 0.7479 0.7521 0.2479
Zn: 0.7521 0.2479 0.7479
O: 0.1070 0.1272 0.3897
O: 0.1103 0.8930 0.6272
O: 0.1121 0.6121 0.8879
O: 0.1231 0.1444 0.8586
O: 0.1272 0.3897 0.1070
O: 0.1389 0.3611 0.6389
O: 0.1414 0.6231 0.3556
O: 0.1444 0.8586 0.1231
O: 0.3556 0.1414 0.6231
O: 0.3586 0.3769 0.8556
O: 0.3611 0.6389 0.1389
O: 0.3728 0.6103 0.6070
O: 0.3769 0.8556 0.3586
O: 0.3879 0.3879 0.3879
O: 0.3897 0.1070 0.1272
O: 0.3930 0.8728 0.8897
O: 0.6070 0.3728 0.6103
O: 0.6103 0.6070 0.3728
O: 0.6121 0.8879 0.1121
O: 0.6231 0.3556 0.1414
O: 0.6272 0.1103 0.8930
O: 0.6389 0.1389 0.3611
O: 0.6414 0.8769 0.6444
O: 0.6444 0.6414 0.8769
O: 0.8556 0.3586 0.3769
O: 0.8586 0.1231 0.1444
O: 0.8611 0.8611 0.8611
O: 0.8728 0.8897 0.3930
O: 0.8769 0.6444 0.6414
O: 0.8879 0.1121 0.6121
O: 0.8897 0.3930 0.8728
O: 0.8930 0.6272 0.1103

## Properties
Largest piezoelectric modulus = 0.06 C/m2
Density = 3.87 g/cm³
Formation energy from the elements = -42.779 eV/f.u.
Total DFT energy (no corrections) = -7.55 eV per atom
Energy above the lowest structure with this stoichiometry = 0.000 eV per atom

(7)
Here is a geometry-optimized Li2Ti3ZnO8 structure from the Materials Project. Energies are from GGA-PBE.

Cell: 5.9642 5.9642 5.9642 Å, 60.22 60.22 60.22°
Element x y z (fractional)
Li: 0.0000 0.0000 0.0000
Li: 0.3798 0.3798 0.3798
Ti: 0.3775 0.3775 0.8862
Ti: 0.3775 0.8862 0.3775
Ti: 0.8862 0.3775 0.3775
Zn: 0.7619 0.7619 0.7619
O: 0.1303 0.1303 0.5868
O: 0.1303 0.5868 0.1303
O: 0.1388 0.1388 0.1388
O: 0.1667 0.6259 0.6259
O: 0.5868 0.1303 0.1303
O: 0.6212 0.6212 0.6212
O: 0.6259 0.1667 0.6259
O: 0.6259 0.6259 0.1667

## Properties
Density = 3.87 g/cm³
Formation energy from the elements = -42.273 eV/f.u.
Total DFT energy (no corrections) = -7.51 eV per atom
Energy above the lowest structure with this stoichiometry = 0.036 eV per atom

(8)
Here is a geometry-optimized LiTlO2 structure from the Materials Project. Energies are from GGA-PBE.

Cell: 3.3710 3.3710 4.3312 Å, 90.00 90.00 90.00°
Element x y z (fractional)
Li: 0.0000 0.0000 0.0000
Tl: 0.5000 0.5000 0.5000
O: 0.0000 0.0000 0.5000
O: 0.5000 0.5000 0.0000

## Properties
Density = 8.21 g/cm³
Formation energy from the elements = -5.664 eV/f.u.
Total DFT energy (no corrections) = -4.61 eV per atom
Energy above the lowest structure with this stoichiometry = 0.045 eV per atom

(9)
Here is a geometry-optimized LiTlO2 structure from the Materials Project. Energies are from GGA-PBE.

Cell: 4.6359 4.6359 9.3047 Å, 90.00 90.00 90.00°
Element x y z (fractional)
Li: 0.0000 0.2500 0.3750
Li: 0.0000 0.7500 0.6250
Li: 0.5000 0.2500 0.1250
Li: 0.5000 0.7500 0.8750
Tl: 0.0000 0.2500 0.8750
Tl: 0.0000 0.7500 0.1250
Tl: 0.5000 0.2500 0.6250
Tl: 0.5000 0.7500 0.3750
O: 0.0000 0.2500 0.1184
O: 0.0000 0.2500 0.6316
O: 0.0000 0.7500 0.3684
O: 0.0000 0.7500 0.8816
O: 0.5000 0.2500 0.3816
O: 0.5000 0.2500 0.8684
O: 0.5000 0.7500 0.1316
O: 0.5000 0.7500 0.6184

## Properties
Density = 8.08 g/cm³
Formation energy from the elements = -5.845 eV/f.u.
Total DFT energy (no corrections) = -4.66 eV per atom
Energy above the lowest structure with this stoichiometry = 0.000 eV per atom

(10)
Here is a geometry-optimized LiTmO2 structure from the Materials Project. Energies are from GGA-PBE.

Cell: 3.3137 3.3137 15.1322 Å, 90.00 90.00 120.00°
Element x y z (fractional)
Li: 0.0000 0.0000 0.0000
Li: 0.3333 0.6667 0.6667
Li: 0.6667 0.3333 0.3333
Tm: 0.0000 0.0000 0.5000
Tm: 0.3333 0.6667 0.1667
Tm: 0.6667 0.3333 0.8333
O: 0.0000 0.0000 0.2444
O: 0.0000 0.0000 0.7556
O: 0.3333 0.6667 0.4223
O: 0.3333 0.6667 0.9111
O: 0.6667 0.3333 0.0889
O: 0.6667 0.3333 0.5777

## Properties
Density = 7.20 g/cm³
Formation energy from the elements = -13.122 eV/f.u.
Total DFT energy (no corrections) = -7.01 eV per atom

(11)
Here is a geometry-optimized LiTmO2 structure from the Materials Project. Energies are from GGA-PBE.

Cell: 4.3972 4.3972 10.2391 Å, 90.00 90.00 90.00°
Element x y z (fractional)
Li: 0.0000 0.2500 0.3750
Li: 0.0000 0.7500 0.6250
Li: 0.5000 0.2500 0.1250
Li: 0.5000 0.7500 0.8750
Tm: 0.0000 0.2500 0.8750
Tm: 0.0000 0.7500 0.1250
Tm: 0.5000 0.2500 0.6250
Tm: 0.5000 0.7500 0.3750
O: 0.0000 0.2500 0.0973
O: 0.0000 0.2500 0.6527
O: 0.0000 0.7500 0.3473
O: 0.0000 0.7500 0.9027
O: 0.5000 0.2500 0.4027
O: 0.5000 0.2500 0.8473
O: 0.5000 0.7500 0.1527
O: 0.5000 0.7500 0.5973

## Properties
Density = 6.97 g/cm³
Formation energy from the elements = -13.403 eV/f.u.
Total DFT energy (no corrections) = -7.08 eV per atom

(12)
Here is a geometry-optimized LiTmO2 structure from the Materials Project. Energies are from GGA-PBE.

Cell: 6.0829 6.1468 6.1419 Å, 90.00 118.71 90.00°
Element x y z (fractional)
Li: 0.2159 0.1510 0.4474
Li: 0.2159 0.3491 0.9474
Li: 0.7841 0.6510 0.0526
Li: 0.7841 0.8490 0.5526
Tm: 0.2630 0.6296 0.5170
Tm: 0.2630 0.8704 0.0170
Tm: 0.7370 0.1296 0.9830
Tm: 0.7370 0.3704 0.4830
O: 0.0444 0.6101 0.7359
O: 0.0444 0.8899 0.2359
O: 0.4960 0.1631 0.1685
O: 0.4960 0.3369 0.6685
O: 0.5040 0.6631 0.3315
O: 0.5040 0.8369 0.8315
O: 0.9556 0.1101 0.7641
O: 0.9556 0.3899 0.2641

## Properties
Density = 6.86 g/cm³
Formation energy from the elements = -13.397 eV/f.u.
Total DFT energy (no corrections) = -7.08 eV per atom

- What is the formula in the first record?
  Li6Ti2O7